Run A
SiC | PBE-GGA | relaxed

Lattice parameters (Å, degrees): 3.0955 3.0955 53.1296 90.00 90.00 120.00
Space group R3m (No. 160, hexagonal axes)
One atom of each set of equivalent atoms:
Si 0.0000 0.0000 0.0000
Si 0.0000 0.0000 0.0953
Si 0.0000 0.0000 0.2381
Si 0.0000 0.0000 0.3810
Si 0.0000 0.0000 0.5238
Si 0.0000 0.0000 0.6191
Si 0.0000 0.0000 0.8095
C 0.0000 0.0000 0.0357
C 0.0000 0.0000 0.1310
C 0.0000 0.0000 0.2739
C 0.0000 0.0000 0.4168
C 0.0000 0.0000 0.5595
C 0.0000 0.0000 0.6548
C 0.0000 0.0000 0.8453

Computed properties:
largest piezoelectric modulus	0.078	C/m²
crystal system	trigonal



Run B
SiC | PBE-GGA | relaxed

Lattice parameters (Å, degrees): 3.0940 3.0940 10.1278 90.00 90.00 120.00
Space group P6_3mc (No. 186)
One atom of each set of equivalent atoms:
Si 0.0000 0.0000 0.0000
Si 0.3333 0.6667 0.2500
C 0.0000 0.0000 0.3125
C 0.3333 0.6667 0.0619

Computed properties:
largest piezoelectric modulus	0.064	C/m²
crystal system	hexagonal



Best to worst by energy: run B, run A.